## K3DyF6 (PBE)

Data for crystalline K3DyF6 at its relaxed geometry.

Structure (POSCAR):
```
K3DyF6
1.0
0.000 4.706 4.706
4.706 0.000 4.706
4.706 4.706 0.000
K Dy F
3 1 6
Direct
0.000 0.000 0.000
0.250 0.250 0.250
0.750 0.750 0.750
0.500 0.500 0.500
0.269 0.269 0.731
0.269 0.731 0.269
0.269 0.731 0.731
0.731 0.269 0.269
0.731 0.269 0.731
0.731 0.731 0.269
```

Summary:
**Calculated volume**: 208.5 Å³ per cell
**Spin magnetization**: 0.000 μB/atom
**SG**: Fm-3m (225)
**E_form**: -341 kJ per mole of atoms